one) A relaxed K2MgCo2O4 crystal. Source: the Materials Project database, functional PBE+U.

Cell lengths 3.784, 3.784, 9.804 Å; angles 90.00, 90.00, 90.00 degrees
Sites, in units of the cell vectors:
1 K 0.750 0.750 0.413
2 K 0.250 0.250 0.677
3 Mg 0.750 0.750 0.112
4 Co 0.750 0.750 0.867
5 Co 0.250 0.250 0.087
6 O 0.250 0.750 0.005
7 O 0.750 0.250 0.005
8 O 0.750 0.750 0.682
9 O 0.250 0.250 0.282

Calculated values
symmetry	P4mm (99)
size of the total moment	6.022	μB per formula unit

two) A relaxed K2MgCo2O4 crystal. Source: the Materials Project database, functional PBE+U.

Cell lengths 3.890, 3.890, 7.886 Å; angles 90.00, 90.00, 90.00 degrees
Sites, in units of the cell vectors:
1 K 0.750 0.750 0.255
2 K 0.250 0.250 0.745
3 Mg 0.250 0.750 0.500
4 Co 0.750 0.750 0.897
5 Co 0.250 0.250 0.103
6 O 0.250 0.750 0.000
7 O 0.750 0.250 0.000
8 O 0.750 0.750 0.630
9 O 0.250 0.250 0.370

Calculated values
symmetry	P-4m2 (115)
size of the total moment	6.002	μB per formula unit

three) A relaxed K2MgCo2O4 crystal. Source: the Materials Project database, functional PBE+U.

Cell lengths 6.844, 6.844, 7.174 Å; angles 70.11, 109.89, 154.26 degrees
Sites, in units of the cell vectors:
1 K 0.244 0.756 0.768
2 K 0.756 0.244 0.232
3 Mg 0.000 0.000 0.500
4 Co 0.037 0.963 0.177
5 Co 0.963 0.037 0.823
6 O 0.110 0.890 0.990
7 O 0.424 0.576 0.598
8 O 0.576 0.424 0.402
9 O 0.890 0.110 0.010

Calculated values
symmetry	C2/m (12)
size of the total moment	6.000	μB per formula unit

Energy ordering: three) at the bottom, the next structure 2.0 kJ/mol of atoms above.

one) A relaxed LiMnP2H2O8 crystal. Source: the Materials Project database, functional PBE+U.

Cell lengths 8.741, 5.222, 14.384 Å; angles 81.20, 90.00, 90.00 degrees
Sites, in units of the cell vectors:
1 Li 0.495 0.625 0.669
2 Li 0.005 0.625 0.169
3 Li 0.995 0.375 0.831
4 Li 0.505 0.375 0.331
5 Mn 0.964 0.733 0.649
6 Mn 0.536 0.733 0.149
7 Mn 0.464 0.267 0.851
8 Mn 0.036 0.267 0.351
9 P 0.236 0.780 0.808
10 P 0.662 0.734 0.944
11 P 0.264 0.780 0.308
12 P 0.838 0.734 0.444
13 P 0.162 0.266 0.556
14 P 0.736 0.220 0.692
15 P 0.338 0.266 0.056
16 P 0.764 0.220 0.192
17 H 0.813 0.856 0.829
18 H 0.278 0.713 0.964
19 H 0.687 0.856 0.329
20 H 0.222 0.713 0.464
21 H 0.778 0.287 0.536
22 H 0.313 0.144 0.671
23 H 0.722 0.287 0.036
24 H 0.187 0.144 0.171
25 O 0.772 0.934 0.725
26 O 0.540 0.919 0.895
27 O 0.728 0.934 0.225
28 O 0.960 0.919 0.395
29 O 0.826 0.809 0.901
30 O 0.194 0.734 0.916
31 O 0.086 0.691 0.765
32 O 0.674 0.809 0.401
33 O 0.817 0.762 0.549
34 O 0.306 0.734 0.416
35 O 0.414 0.691 0.265
36 O 0.683 0.762 0.049
37 O 0.369 0.604 0.784
38 O 0.127 0.548 0.567
39 O 0.131 0.604 0.284
40 O 0.627 0.452 0.933
41 O 0.373 0.548 0.067
42 O 0.869 0.396 0.716
43 O 0.873 0.452 0.433
44 O 0.631 0.396 0.216
45 O 0.317 0.238 0.951
46 O 0.586 0.309 0.735
47 O 0.694 0.266 0.584
48 O 0.183 0.238 0.451
49 O 0.326 0.191 0.599
50 O 0.914 0.309 0.235
51 O 0.806 0.266 0.084
52 O 0.174 0.191 0.099
53 O 0.040 0.081 0.605
54 O 0.272 0.066 0.775
55 O 0.460 0.081 0.105
56 O 0.228 0.066 0.275

Calculated values
symmetry	P2_1/c (14)
size of the total moment	4.000	μB per formula unit

two) A relaxed LiMnP2H2O8 crystal. Source: the Materials Project database, functional PBE+U.

Cell lengths 7.005, 10.562, 8.046 Å; angles 90.00, 90.00, 90.00 degrees
Sites, in units of the cell vectors:
1 Li 0.000 0.334 0.500
2 Li 0.000 0.834 0.500
3 Li 0.500 0.416 0.000
4 Li 0.500 0.916 0.000
5 Mn 0.000 0.992 0.000
6 Mn 0.500 0.258 0.500
7 Mn 0.000 0.492 0.000
8 Mn 0.500 0.758 0.500
9 P 0.285 0.009 0.648
10 P 0.285 0.510 0.648
11 P 0.715 0.010 0.352
12 P 0.715 0.509 0.352
13 P 0.215 0.241 0.148
14 P 0.215 0.741 0.148
15 P 0.785 0.241 0.852
16 P 0.785 0.741 0.852
17 H 0.492 0.101 0.210
18 H 0.492 0.601 0.210
19 H 0.508 0.101 0.790
20 H 0.508 0.601 0.790
21 H 0.992 0.149 0.290
22 H 0.992 0.649 0.290
23 H 0.008 0.149 0.710
24 H 0.008 0.649 0.710
25 O 0.551 0.011 0.215
26 O 0.551 0.511 0.215
27 O 0.449 0.011 0.785
28 O 0.449 0.511 0.785
29 O 0.051 0.239 0.285
30 O 0.051 0.739 0.285
31 O 0.949 0.239 0.715
32 O 0.949 0.739 0.715
33 O 0.085 0.013 0.726
34 O 0.085 0.513 0.726
35 O 0.915 0.013 0.274
36 O 0.915 0.513 0.274
37 O 0.415 0.237 0.226
38 O 0.415 0.737 0.226
39 O 0.585 0.237 0.774
40 O 0.585 0.737 0.774
41 O 0.692 0.128 0.461
42 O 0.692 0.628 0.461
43 O 0.308 0.128 0.539
44 O 0.308 0.628 0.539
45 O 0.191 0.122 0.039
46 O 0.192 0.622 0.039
47 O 0.808 0.122 0.961
48 O 0.808 0.622 0.961
49 O 0.800 0.365 0.953
50 O 0.800 0.865 0.953
51 O 0.200 0.365 0.047
52 O 0.200 0.865 0.047
53 O 0.700 0.385 0.453
54 O 0.700 0.885 0.453
55 O 0.300 0.385 0.547
56 O 0.300 0.885 0.547

Calculated values
piezoelectric modulus e_max	0.3	C/m²
size of the total moment	0.000	μB per formula unit

Energy ordering: two) at the bottom, the next structure 5.7 kJ/mol of atoms above.

one) A relaxed Li3V2P3O12 crystal. Source: the Materials Project database, functional PBE+U.

Cell lengths 8.830, 8.603, 12.369 Å; angles 88.04, 90.00, 90.00 degrees
Sites, in units of the cell vectors:
1 Li 0.196 0.703 0.950
2 Li 0.600 0.500 0.750
3 Li 0.899 0.000 0.750
4 Li 0.500 0.500 0.000
5 Li 0.804 0.703 0.450
6 Li 0.804 0.297 0.050
7 Li 0.400 0.500 0.250
8 Li 0.101 0.000 0.250
9 Li 0.000 0.000 0.500
10 Li 0.196 0.297 0.550
11 Li 0.500 0.500 0.500
12 Li 0.000 0.000 0.000
13 V 0.500 0.787 0.855
14 V 0.004 0.715 0.641
15 V 0.996 0.285 0.359
16 V 0.500 0.213 0.145
17 V 0.500 0.213 0.645
18 V 0.004 0.285 0.859
19 V 0.996 0.715 0.141
20 V 0.500 0.787 0.355
21 P 0.708 0.500 0.250
22 P 0.147 0.647 0.396
23 P 0.354 0.152 0.396
24 P 0.292 0.500 0.750
25 P 0.147 0.353 0.104
26 P 0.646 0.848 0.604
27 P 0.853 0.647 0.896
28 P 0.853 0.353 0.604
29 P 0.646 0.152 0.896
30 P 0.354 0.848 0.104
31 P 0.203 0.000 0.750
32 P 0.797 0.000 0.250
33 O 0.406 0.016 0.104
34 O 0.594 0.756 0.707
35 O 0.297 0.125 0.689
36 O 0.093 0.069 0.836
37 O 0.195 0.386 0.816
38 O 0.109 0.472 0.408
39 O 0.906 0.723 0.787
40 O 0.600 0.425 0.165
41 O 0.590 0.751 0.507
42 O 0.177 0.854 0.091
43 O 0.063 0.256 0.018
44 O 0.093 0.931 0.664
45 O 0.823 0.146 0.909
46 O 0.703 0.125 0.189
47 O 0.400 0.425 0.665
48 O 0.406 0.984 0.396
49 O 0.063 0.744 0.482
50 O 0.094 0.277 0.213
51 O 0.323 0.349 0.093
52 O 0.594 0.244 0.793
53 O 0.937 0.256 0.518
54 O 0.406 0.756 0.207
55 O 0.297 0.875 0.811
56 O 0.891 0.472 0.908
57 O 0.805 0.614 0.184
58 O 0.590 0.249 0.993
59 O 0.677 0.651 0.907
60 O 0.594 0.016 0.604
61 O 0.323 0.651 0.407
62 O 0.406 0.244 0.293
63 O 0.891 0.528 0.592
64 O 0.400 0.575 0.835
65 O 0.195 0.614 0.684
66 O 0.410 0.249 0.493
67 O 0.805 0.386 0.316
68 O 0.177 0.146 0.409
69 O 0.594 0.984 0.896
70 O 0.907 0.069 0.336
71 O 0.823 0.854 0.591
72 O 0.600 0.575 0.335
73 O 0.906 0.277 0.713
74 O 0.937 0.744 0.982
75 O 0.703 0.875 0.311
76 O 0.907 0.931 0.164
77 O 0.109 0.528 0.092
78 O 0.094 0.723 0.287
79 O 0.677 0.349 0.593
80 O 0.410 0.751 0.007

Calculated values
symmetry	P2/c (13)
size of the total moment	4.000	μB per formula unit

two) A relaxed Li3V2P3O12 crystal. Source: the Materials Project database, functional PBE+U.

Cell lengths 9.173, 9.173, 16.579 Å; angles 65.02, 65.02, 57.70 degrees
Sites, in units of the cell vectors:
1 Li 0.471 0.759 0.850
2 Li 0.087 0.247 0.445
3 Li 0.632 0.368 0.750
4 Li 0.753 0.913 0.055
5 Li 0.241 0.529 0.650
6 Li 0.000 0.500 0.000
7 Li 0.759 0.471 0.350
8 Li 0.247 0.087 0.945
9 Li 0.368 0.632 0.250
10 Li 0.913 0.753 0.555
11 Li 0.529 0.241 0.150
12 Li 0.500 0.000 0.500
13 V 0.209 0.710 0.033
14 V 0.844 0.804 0.337
15 V 0.196 0.156 0.163
16 V 0.290 0.791 0.467
17 V 0.710 0.209 0.533
18 V 0.804 0.844 0.837
19 V 0.156 0.196 0.663
20 V 0.791 0.290 0.967
21 P 0.028 0.962 0.873
22 P 0.026 0.562 0.189
23 P 0.658 0.597 0.529
24 P 0.403 0.342 0.971
25 P 0.438 0.974 0.311
26 P 0.038 0.972 0.627
27 P 0.962 0.028 0.373
28 P 0.562 0.026 0.689
29 P 0.597 0.658 0.029
30 P 0.342 0.403 0.471
31 P 0.974 0.438 0.811
32 P 0.972 0.038 0.127
33 O 0.600 0.914 0.786
34 O 0.716 0.947 0.609
35 O 0.811 0.999 0.374
36 O 0.134 0.945 0.052
37 O 0.464 0.692 0.982
38 O 0.980 0.891 0.217
39 O 0.207 0.874 0.898
40 O 0.219 0.547 0.161
41 O 0.802 0.673 0.471
42 O 0.610 0.972 0.305
43 O 0.666 0.516 0.629
44 O 0.914 0.600 0.286
45 O 0.236 0.524 0.985
46 O 0.947 0.716 0.109
47 O 0.476 0.764 0.515
48 O 0.999 0.811 0.874
49 O 0.484 0.334 0.871
50 O 0.945 0.134 0.552
51 O 0.028 0.390 0.195
52 O 0.692 0.464 0.482
53 O 0.891 0.980 0.717
54 O 0.327 0.198 0.029
55 O 0.126 0.793 0.602
56 O 0.453 0.781 0.339
57 O 0.547 0.219 0.661
58 O 0.874 0.207 0.398
59 O 0.673 0.802 0.971
60 O 0.109 0.020 0.283
61 O 0.308 0.536 0.518
62 O 0.972 0.610 0.805
63 O 0.055 0.866 0.448
64 O 0.516 0.666 0.129
65 O 0.001 0.189 0.126
66 O 0.524 0.236 0.485
67 O 0.053 0.284 0.891
68 O 0.764 0.476 0.015
69 O 0.086 0.400 0.714
70 O 0.334 0.484 0.371
71 O 0.390 0.028 0.695
72 O 0.198 0.327 0.529
73 O 0.781 0.453 0.839
74 O 0.793 0.126 0.102
75 O 0.020 0.109 0.783
76 O 0.536 0.308 0.018
77 O 0.866 0.055 0.948
78 O 0.189 0.001 0.626
79 O 0.284 0.053 0.391
80 O 0.400 0.086 0.214

Calculated values
symmetry	C2/c (15)
size of the total moment	4.000	μB per formula unit

three) A relaxed Li3V2P3O12 crystal. Source: the Materials Project database, functional PBE+U.

Cell lengths 8.760, 8.823, 12.229 Å; angles 90.00, 90.00, 90.00 degrees
Sites, in units of the cell vectors:
1 Li 0.531 0.980 0.820
2 Li 0.531 0.020 0.180
3 Li 0.469 0.520 0.320
4 Li 0.469 0.480 0.680
5 Li 0.197 0.325 0.787
6 Li 0.197 0.675 0.213
7 Li 0.053 0.984 0.683
8 Li 0.053 0.016 0.317
9 Li 0.947 0.484 0.817
10 Li 0.947 0.516 0.183
11 Li 0.803 0.825 0.713
12 Li 0.803 0.175 0.287
13 V 0.497 0.792 0.614
14 V 0.497 0.208 0.386
15 V 0.503 0.292 0.886
16 V 0.503 0.708 0.114
17 V 0.008 0.793 0.889
18 V 0.008 0.207 0.111
19 V 0.992 0.293 0.611
20 V 0.992 0.707 0.389
21 P 0.705 0.500 0.500
22 P 0.645 0.648 0.854
23 P 0.645 0.352 0.146
24 P 0.355 0.148 0.646
25 P 0.355 0.852 0.354
26 P 0.295 0.000 0.000
27 P 0.205 0.500 0.000
28 P 0.144 0.646 0.647
29 P 0.144 0.354 0.353
30 P 0.856 0.854 0.147
31 P 0.856 0.146 0.853
32 P 0.795 0.000 0.500
33 O 0.700 0.106 0.426
34 O 0.700 0.894 0.574
35 O 0.681 0.154 0.838
36 O 0.681 0.846 0.162
37 O 0.598 0.686 0.969
38 O 0.598 0.314 0.031
39 O 0.590 0.489 0.819
40 O 0.590 0.511 0.181
41 O 0.600 0.592 0.578
42 O 0.600 0.408 0.422
43 O 0.583 0.773 0.773
44 O 0.583 0.227 0.227
45 O 0.417 0.273 0.727
46 O 0.417 0.727 0.273
47 O 0.400 0.092 0.922
48 O 0.400 0.908 0.078
49 O 0.410 0.011 0.319
50 O 0.410 0.989 0.681
51 O 0.402 0.186 0.531
52 O 0.402 0.814 0.469
53 O 0.319 0.346 0.338
54 O 0.319 0.654 0.662
55 O 0.300 0.394 0.926
56 O 0.300 0.606 0.074
57 O 0.197 0.103 0.073
58 O 0.197 0.897 0.927
59 O 0.179 0.158 0.662
60 O 0.179 0.842 0.338
61 O 0.095 0.675 0.530
62 O 0.095 0.325 0.470
63 O 0.093 0.484 0.686
64 O 0.093 0.516 0.314
65 O 0.098 0.587 0.921
66 O 0.098 0.413 0.079
67 O 0.063 0.767 0.721
68 O 0.063 0.233 0.279
69 O 0.937 0.267 0.779
70 O 0.937 0.733 0.221
71 O 0.902 0.087 0.579
72 O 0.902 0.913 0.421
73 O 0.907 0.984 0.814
74 O 0.907 0.016 0.186
75 O 0.905 0.175 0.970
76 O 0.905 0.825 0.030
77 O 0.821 0.342 0.162
78 O 0.821 0.658 0.838
79 O 0.803 0.397 0.573
80 O 0.803 0.603 0.427

Calculated values
symmetry	P2_12_12 (18)
size of the total moment	4.000	μB per formula unit

Energy ordering: three) at the bottom, the next structure 3.3 kJ/mol of atoms above.